The following is a PBE calculation of crystalline Te2Mo3WSe2S4 at its relaxed geometry, from the Materials Project.

```
Te2Mo3WSe2S4
1.0
-3.125 1.069 0.164
0.626 -3.210 -0.491
0.002 -5.684 37.142
S Te Mo Se W
4 2 3 2 1
Direct
0.667 0.333 0.510
0.333 0.667 0.241
0.333 0.667 0.323
0.667 0.333 0.429
0.333 0.667 0.607
0.333 0.667 0.708
0.333 0.667 0.094
0.333 0.667 0.470
0.667 0.333 0.658
0.667 0.333 0.139
0.667 0.333 0.049
0.667 0.333 0.282
```

**E above lowest polymorph**: 0.01 eV per formula unit
**Theoretical density**: 4.726 g cm⁻³

***

The following is a PBE calculation of crystalline Te2Mo3WSe4S2 at its relaxed geometry, from the Materials Project.

```
Te2Mo3WSe4S2
1.0
2.579 0.696 -2.013
-3.040 -0.517 -1.295
-7.625 37.140 3.079
S Te Se Mo W
2 2 4 3 1
Direct
0.667 0.333 0.510
0.667 0.333 0.430
0.667 0.333 0.044
0.667 0.333 0.144
0.333 0.667 0.238
0.333 0.667 0.702
0.333 0.667 0.326
0.333 0.667 0.613
0.667 0.333 0.282
0.333 0.667 0.470
0.333 0.667 0.094
0.667 0.333 0.658
```

**E above lowest polymorph**: 0.19 eV per formula unit
**Theoretical density**: 4.988 g cm⁻³

***

The following is a PBE calculation of crystalline Te2MoWSeS at its relaxed geometry, from the Materials Project.

```
Te2MoWSeS
1.0
1.698 -2.941 0.000
1.698 2.941 0.000
0.000 0.000 38.837
Te S W Se Mo
4 2 2 2 2
Direct
0.000 0.000 0.609
0.000 0.000 0.330
0.000 0.000 0.233
0.000 0.000 0.706
0.333 0.667 0.133
0.333 0.667 0.055
0.000 0.000 0.094
0.333 0.667 0.658
0.333 0.667 0.427
0.333 0.667 0.512
0.333 0.667 0.282
0.000 0.000 0.470
```

**E above lowest polymorph**: 0.13 eV per formula unit
**Theoretical density**: 5.532 g cm⁻³

***

The following is a PBE calculation of crystalline Te2Mo3WSe4S2 at its relaxed geometry, from the Materials Project.

```
Te2Mo3WSe4S2
1.0
1.672 -2.896 0.000
1.672 2.896 0.000
0.000 0.000 38.081
Te S Mo Se W
2 2 3 4 1
Direct
0.000 0.000 0.707
0.000 0.000 0.608
0.333 0.667 0.134
0.333 0.667 0.054
0.333 0.667 0.658
0.333 0.667 0.282
0.000 0.000 0.094
0.000 0.000 0.326
0.333 0.667 0.426
0.000 0.000 0.238
0.333 0.667 0.514
0.000 0.000 0.470
```

**E above lowest polymorph**: 0.20 eV per formula unit
**Theoretical density**: 4.983 g cm⁻³

***

The following is a PBE calculation of crystalline Te2MoW3Se4S2 at its relaxed geometry, from the Materials Project.

```
Te2MoW3Se4S2
1.0
-1.636 0.326 -2.896
-1.510 -1.422 2.621
-12.890 34.195 11.132
Se W Te Mo S
4 3 2 1 2
Direct
0.667 0.333 0.138
0.333 0.667 0.326
0.333 0.667 0.238
0.667 0.333 0.050
0.667 0.333 0.658
0.667 0.333 0.282
0.333 0.667 0.470
0.667 0.333 0.420
0.667 0.333 0.520
0.333 0.667 0.094
0.333 0.667 0.697
0.333 0.667 0.618
```

**E above lowest polymorph**: 0.26 eV per formula unit
**Theoretical density**: 5.763 g cm⁻³

***

The following is a PBE calculation of crystalline Te2Mo3WSe2S4 at its relaxed geometry, from the Materials Project.

```
Te2Mo3WSe2S4
1.0
1.656 -2.868 0.000
1.656 2.868 0.000
0.000 0.000 39.122
Mo Te S W Se
3 2 4 1 2
Direct
0.333 0.667 0.282
0.000 0.000 0.094
0.000 0.000 0.468
0.000 0.000 0.610
0.000 0.000 0.708
0.333 0.667 0.055
0.000 0.000 0.243
0.333 0.667 0.133
0.000 0.000 0.321
0.333 0.667 0.659
0.333 0.667 0.511
0.333 0.667 0.425
```

**E above lowest polymorph**: 0.45 eV per formula unit
**Theoretical density**: 4.527 g cm⁻³

***

| no. | energy with MP2020 corrections (eV/cell) | calculated total energy (Ry per atom) | calculated formation energy (eV per atom) |
| --- | --- | --- | --- |
| 1 | -84.6 | -0.5058 | -0.773 |
| 2 | -81.7 | -0.4941 | -0.637 |
| 3 | -81.3 | -0.4915 | -0.484 |
| 4 | -81.7 | -0.4941 | -0.636 |
| 5 | -85.1 | -0.5153 | -0.573 |
| 6 | -84.1 | -0.5031 | -0.736 |